1.
Below is a relaxed CdI2 crystal, with properties calculated at the PBE-GGA level.

Lattice parameters (Å, degrees): 4.333 4.333 66.717 90.00 90.00 120.00
Element x y z (fractional)
Cd: 0.000 0.000 0.000
Cd: 0.000 0.000 0.111
Cd: 0.000 0.000 0.333
Cd: 0.000 0.000 0.444
Cd: 0.000 0.000 0.778
Cd: 0.333 0.667 0.222
Cd: 0.333 0.667 0.556
Cd: 0.333 0.667 0.667
Cd: 0.333 0.667 0.889
I: 0.000 0.000 0.196
I: 0.000 0.000 0.530
I: 0.000 0.000 0.641
I: 0.000 0.000 0.863
I: 0.333 0.667 0.085
I: 0.333 0.667 0.307
I: 0.333 0.667 0.419
I: 0.333 0.667 0.752
I: 0.333 0.667 0.974
I: 0.667 0.333 0.026
I: 0.667 0.333 0.137
I: 0.667 0.333 0.248
I: 0.667 0.333 0.359
I: 0.667 0.333 0.470
I: 0.667 0.333 0.581
I: 0.667 0.333 0.692
I: 0.667 0.333 0.804
I: 0.667 0.333 0.915

Computed properties:
ΔE_f ... -0.84 eV per atom
Mass density ... 5046 kg/m³

***

2.
Below is a relaxed CdI2 crystal, with properties calculated at the PBE-GGA level.

Lattice parameters (Å, degrees): 4.345 4.345 80.915 90.00 90.00 120.00
Element x y z (fractional)
Cd: 0.000 0.000 0.000
Cd: 0.000 0.000 0.091
Cd: 0.000 0.000 0.182
Cd: 0.000 0.000 0.273
Cd: 0.000 0.000 0.364
Cd: 0.000 0.000 0.455
Cd: 0.000 0.000 0.545
Cd: 0.000 0.000 0.727
Cd: 0.000 0.000 0.818
Cd: 0.333 0.667 0.636
Cd: 0.333 0.667 0.909
I: 0.000 0.000 0.615
I: 0.000 0.000 0.888
I: 0.333 0.667 0.070
I: 0.333 0.667 0.160
I: 0.333 0.667 0.251
I: 0.333 0.667 0.342
I: 0.333 0.667 0.433
I: 0.333 0.667 0.524
I: 0.333 0.667 0.706
I: 0.333 0.667 0.797
I: 0.333 0.667 0.979
I: 0.667 0.333 0.021
I: 0.667 0.333 0.112
I: 0.667 0.333 0.203
I: 0.667 0.333 0.294
I: 0.667 0.333 0.385
I: 0.667 0.333 0.476
I: 0.667 0.333 0.567
I: 0.667 0.333 0.658
I: 0.667 0.333 0.749
I: 0.667 0.333 0.840
I: 0.667 0.333 0.930

Computed properties:
ΔE_f ... -0.84 eV per atom
Spin magnetization ... 0.00 μB/atom
Mass density ... 5056 kg/m³

***

3.
Below is a relaxed CdI2 crystal, with properties calculated at the PBE-GGA level.

Lattice parameters (Å, degrees): 4.336 4.336 101.765 90.00 90.00 120.00
Element x y z (fractional)
Cd: 0.000 0.000 0.000
Cd: 0.000 0.000 0.077
Cd: 0.000 0.000 0.154
Cd: 0.000 0.000 0.231
Cd: 0.000 0.000 0.385
Cd: 0.000 0.000 0.539
Cd: 0.000 0.000 0.692
Cd: 0.000 0.000 0.846
Cd: 0.333 0.667 0.308
Cd: 0.667 0.333 0.462
Cd: 0.667 0.333 0.616
Cd: 0.667 0.333 0.769
Cd: 0.667 0.333 0.923
I: 0.000 0.000 0.325
I: 0.000 0.000 0.445
I: 0.000 0.000 0.599
I: 0.000 0.000 0.752
I: 0.000 0.000 0.906
I: 0.333 0.667 0.017
I: 0.333 0.667 0.094
I: 0.333 0.667 0.171
I: 0.333 0.667 0.248
I: 0.333 0.667 0.402
I: 0.333 0.667 0.478
I: 0.333 0.667 0.555
I: 0.333 0.667 0.632
I: 0.333 0.667 0.709
I: 0.333 0.667 0.786
I: 0.333 0.667 0.863
I: 0.333 0.667 0.940
I: 0.667 0.333 0.060
I: 0.667 0.333 0.137
I: 0.667 0.333 0.214
I: 0.667 0.333 0.291
I: 0.667 0.333 0.368
I: 0.667 0.333 0.522
I: 0.667 0.333 0.675
I: 0.667 0.333 0.829
I: 0.667 0.333 0.983

Computed properties:
ΔE_f ... -0.84 eV per atom
Spin magnetization ... 0.00 μB/atom
Mass density ... 4771 kg/m³

***

4.
Below is a relaxed CdI2 crystal, with properties calculated at the PBE-GGA level.

Lattice parameters (Å, degrees): 4.332 4.332 74.827 90.00 90.00 120.00
Element x y z (fractional)
Cd: 0.000 0.000 0.000
Cd: 0.000 0.000 0.100
Cd: 0.000 0.000 0.200
Cd: 0.000 0.000 0.300
Cd: 0.000 0.000 0.400
Cd: 0.000 0.000 0.500
Cd: 0.000 0.000 0.600
Cd: 0.000 0.000 0.700
Cd: 0.000 0.000 0.800
Cd: 0.667 0.333 0.900
I: 0.000 0.000 0.877
I: 0.333 0.667 0.023
I: 0.333 0.667 0.123
I: 0.333 0.667 0.223
I: 0.333 0.667 0.323
I: 0.333 0.667 0.423
I: 0.333 0.667 0.523
I: 0.333 0.667 0.623
I: 0.333 0.667 0.723
I: 0.333 0.667 0.823
I: 0.333 0.667 0.923
I: 0.667 0.333 0.077
I: 0.667 0.333 0.177
I: 0.667 0.333 0.277
I: 0.667 0.333 0.377
I: 0.667 0.333 0.477
I: 0.667 0.333 0.577
I: 0.667 0.333 0.677
I: 0.667 0.333 0.777
I: 0.667 0.333 0.977

Computed properties:
ΔE_f ... -0.84 eV per atom
Mass density ... 5001 kg/m³

***

5.
Below is a relaxed CdI2 crystal, with properties calculated at the PBE-GGA level.

Lattice parameters (Å, degrees): 4.334 4.334 136.420 90.00 90.00 120.00
Element x y z (fractional)
Cd: 0.000 0.000 0.000
Cd: 0.000 0.000 0.056
Cd: 0.000 0.000 0.111
Cd: 0.000 0.000 0.167
Cd: 0.000 0.000 0.222
Cd: 0.000 0.000 0.333
Cd: 0.000 0.000 0.444
Cd: 0.000 0.000 0.556
Cd: 0.000 0.000 0.667
Cd: 0.000 0.000 0.722
Cd: 0.000 0.000 0.778
Cd: 0.000 0.000 0.889
Cd: 0.333 0.667 0.278
Cd: 0.333 0.667 0.389
Cd: 0.333 0.667 0.500
Cd: 0.333 0.667 0.611
Cd: 0.333 0.667 0.833
Cd: 0.333 0.667 0.944
I: 0.000 0.000 0.265
I: 0.000 0.000 0.376
I: 0.000 0.000 0.487
I: 0.000 0.000 0.599
I: 0.000 0.000 0.821
I: 0.000 0.000 0.932
I: 0.333 0.667 0.043
I: 0.333 0.667 0.098
I: 0.333 0.667 0.154
I: 0.333 0.667 0.210
I: 0.333 0.667 0.321
I: 0.333 0.667 0.432
I: 0.333 0.667 0.543
I: 0.333 0.667 0.654
I: 0.333 0.667 0.710
I: 0.333 0.667 0.765
I: 0.333 0.667 0.876
I: 0.333 0.667 0.987
I: 0.667 0.333 0.013
I: 0.667 0.333 0.068
I: 0.667 0.333 0.124
I: 0.667 0.333 0.179
I: 0.667 0.333 0.235
I: 0.667 0.333 0.290
I: 0.667 0.333 0.346
I: 0.667 0.333 0.402
I: 0.667 0.333 0.457
I: 0.667 0.333 0.513
I: 0.667 0.333 0.568
I: 0.667 0.333 0.624
I: 0.667 0.333 0.679
I: 0.667 0.333 0.735
I: 0.667 0.333 0.790
I: 0.667 0.333 0.846
I: 0.667 0.333 0.902
I: 0.667 0.333 0.957

Computed properties:
ΔE_f ... -0.84 eV per atom
Spin magnetization ... 0.00 μB/atom
Mass density ... 4933 kg/m³

***

6.
Below is a relaxed CdI2 crystal, with properties calculated at the PBE-GGA level.

Lattice parameters (Å, degrees): 4.334 4.334 59.299 90.00 90.00 120.00
Element x y z (fractional)
Cd: 0.000 0.000 0.000
Cd: 0.000 0.000 0.125
Cd: 0.000 0.000 0.250
Cd: 0.000 0.000 0.500
Cd: 0.000 0.000 0.750
Cd: 0.333 0.667 0.625
Cd: 0.333 0.667 0.875
Cd: 0.667 0.333 0.375
I: 0.000 0.000 0.346
I: 0.000 0.000 0.654
I: 0.000 0.000 0.904
I: 0.333 0.667 0.029
I: 0.333 0.667 0.154
I: 0.333 0.667 0.279
I: 0.333 0.667 0.404
I: 0.333 0.667 0.529
I: 0.333 0.667 0.779
I: 0.667 0.333 0.096
I: 0.667 0.333 0.221
I: 0.667 0.333 0.471
I: 0.667 0.333 0.596
I: 0.667 0.333 0.721
I: 0.667 0.333 0.846
I: 0.667 0.333 0.971

Computed properties:
ΔE_f ... -0.84 eV per atom
Mass density ... 5044 kg/m³

***

7.
Below is a relaxed CdI2 crystal, with properties calculated at the PBE-GGA level.

Lattice parameters (Å, degrees): 4.335 4.335 91.904 90.00 90.00 120.00
Element x y z (fractional)
Cd: 0.333 0.667 0.000
Cd: 0.333 0.667 0.083
Cd: 0.333 0.667 0.250
Cd: 0.333 0.667 0.417
Cd: 0.333 0.667 0.667
Cd: 0.333 0.667 0.833
Cd: 0.667 0.333 0.167
Cd: 0.667 0.333 0.333
Cd: 0.667 0.333 0.500
Cd: 0.667 0.333 0.583
Cd: 0.667 0.333 0.750
Cd: 0.667 0.333 0.917
I: 0.000 0.000 0.019
I: 0.000 0.000 0.102
I: 0.000 0.000 0.185
I: 0.000 0.000 0.269
I: 0.000 0.000 0.352
I: 0.000 0.000 0.435
I: 0.000 0.000 0.519
I: 0.000 0.000 0.602
I: 0.000 0.000 0.685
I: 0.000 0.000 0.769
I: 0.000 0.000 0.852
I: 0.000 0.000 0.935
I: 0.333 0.667 0.148
I: 0.333 0.667 0.315
I: 0.333 0.667 0.481
I: 0.333 0.667 0.565
I: 0.333 0.667 0.731
I: 0.333 0.667 0.898
I: 0.667 0.333 0.065
I: 0.667 0.333 0.231
I: 0.667 0.333 0.398
I: 0.667 0.333 0.648
I: 0.667 0.333 0.815
I: 0.667 0.333 0.981

Computed properties:
ΔE_f ... -0.84 eV per atom
Mass density ... 4879 kg/m³

***

8.
Below is a relaxed CdI2 crystal, with properties calculated at the PBE-GGA level.

Lattice parameters (Å, degrees): 4.347 4.347 51.393 90.00 90.00 120.00
Element x y z (fractional)
Cd: 0.000 0.000 0.000
Cd: 0.000 0.000 0.143
Cd: 0.000 0.000 0.429
Cd: 0.000 0.000 0.571
Cd: 0.667 0.333 0.286
Cd: 0.667 0.333 0.714
Cd: 0.667 0.333 0.857
I: 0.000 0.000 0.252
I: 0.000 0.000 0.681
I: 0.000 0.000 0.824
I: 0.333 0.667 0.034
I: 0.333 0.667 0.176
I: 0.333 0.667 0.319
I: 0.333 0.667 0.462
I: 0.333 0.667 0.605
I: 0.333 0.667 0.748
I: 0.333 0.667 0.891
I: 0.667 0.333 0.109
I: 0.667 0.333 0.395
I: 0.667 0.333 0.538
I: 0.667 0.333 0.966

Computed properties:
ΔE_f ... -0.84 eV per atom
Mass density ... 5062 kg/m³

***

Number 1: E -5.73 eV/f.u.. Number 2: E -5.73 eV/f.u.. Number 3: E -5.73 eV/f.u.. Number 4: E -5.73 eV/f.u.. Number 5: E -5.73 eV/f.u.. Number 6: E -5.73 eV/f.u.. Number 7: E -5.73 eV/f.u.. Number 8: E -5.73 eV/f.u..